# 1
The following is a GGA+U calculation of crystalline MgFeF4 at its relaxed geometry, from Materials Project.

Calculated values
- total energy (eV per cell) = -64.23
- V (Å³ per atom) = 11.14
- excess energy over the best structure of this formula in the dataset (meV/atom) = 0.0
- piezoelectric modulus e_max (C/m²) = 0.94

a b c (Å): 5.0787 5.1015 6.2799
angles (deg): 113.89 113.59 90.15
Space group P1 (No. 1)
Unique sites:
Mg 0.0000 0.0000 0.0000 x1
Mg 0.5002 0.4986 0.0001 x1
Fe 0.2476 0.7531 0.4992 x1
Fe 0.7544 0.2554 0.5016 x1
F 0.1020 0.1674 0.7651 x1
F 0.1537 0.6646 0.7600 x1
F 0.3436 0.8271 0.2339 x1
F 0.3971 0.3284 0.2360 x1
F 0.6007 0.0999 0.7632 x1
F 0.6567 0.6004 0.7643 x1
F 0.8483 0.9032 0.2413 x1
F 0.8969 0.4008 0.2367 x1

=====

# 2
The following is a GGA+U calculation of crystalline LiCr2O4 at its relaxed geometry, from Materials Project.

Calculated values
- total energy (eV per cell) = -49.67
- V (Å³ per atom) = 10.62
- excess energy over the best structure of this formula in the dataset (meV/atom) = 57.0

a b c (Å): 2.9296 5.1448 5.2546
angles (deg): 69.88 89.99 89.70
Space group P-1 (No. 2)
Unique sites:
Li 0.0000 0.0000 0.0000 x1
Cr 0.0000 0.5000 0.5000 x1
Cr 0.5000 0.0000 0.5000 x1
O 0.0037 0.2267 0.2967 x2
O 0.4979 0.7546 0.2880 x2

=====

# 3
The following is a GGA+U calculation of crystalline Li3Mn4B4O12 at its relaxed geometry, from Materials Project.

Calculated values
- total energy (eV per cell) = -510.90
- V (Å³ per atom) = 10.89
- excess energy over the best structure of this formula in the dataset (meV/atom) = 5.3

a b c (Å): 9.0592 9.1222 11.5349
angles (deg): 68.72 68.32 60.48
Space group P1 (No. 1)
Unique sites:
Li 0.0000 0.0000 0.0000 x1
Li 0.0057 0.0300 0.2527 x1
Li 0.1410 0.2086 0.4890 x1
Li 0.3100 0.3672 0.9940 x1
Li 0.3317 0.3777 0.2705 x1
Li 0.4442 0.5427 0.5105 x1
Li 0.4915 0.5546 0.7497 x1
Li 0.6680 0.6978 0.9877 x1
Li 0.7965 0.8717 0.4911 x1
Mn 0.1165 0.8604 0.5389 x1
Mn 0.1166 0.5545 0.7815 x1
Mn 0.3170 0.6771 0.0322 x1
Mn 0.3312 0.0258 0.2822 x1
Mn 0.4681 0.1926 0.5304 x1
Mn 0.5069 0.8828 0.7758 x1
Mn 0.6279 0.0475 0.0309 x1
Mn 0.6703 0.4001 0.2845 x1
Mn 0.7844 0.5197 0.5257 x1
Mn 0.8561 0.1935 0.7684 x1
Mn 0.9714 0.3271 0.0233 x1
Mn 0.9728 0.7015 0.2711 x1
B 0.1166 0.5197 0.5294 x1
B 0.1804 0.8490 0.7945 x1
B 0.3038 0.7006 0.2945 x1
B 0.3078 0.0060 0.0367 x1
B 0.4559 0.8522 0.5368 x1
B 0.4897 0.2224 0.7918 x1
B 0.6316 0.3461 0.0547 x1
B 0.6596 0.0590 0.2754 x1
B 0.8029 0.1874 0.5226 x1
B 0.8225 0.5249 0.7862 x1
B 0.9582 0.6952 0.0195 x1
B 0.9912 0.3618 0.2851 x1
O 0.0481 0.7425 0.0643 x1
O 0.0523 0.5361 0.9761 x1
O 0.0782 0.0100 0.8169 x1
O 0.1251 0.7782 0.7377 x1
O 0.1295 0.0654 0.0575 x1
O 0.1612 0.2836 0.2939 x1
O 0.1759 0.5878 0.5883 x1
O 0.2068 0.8625 0.3250 x1
O 0.2179 0.3581 0.5066 x1
O 0.2406 0.6372 0.2407 x1
O 0.3055 0.9634 0.4897 x1
O 0.3418 0.7513 0.8264 x1
O 0.3709 0.1001 0.0648 x1
O 0.3809 0.3901 0.8032 x1
O 0.4225 0.8555 0.9950 x1
O 0.4597 0.4083 0.0552 x1
O 0.4643 0.6022 0.3242 x1
O 0.4670 0.1392 0.7263 x1
O 0.5177 0.6752 0.5557 x1
O 0.5414 0.9221 0.5655 x1
O 0.5610 0.2138 0.3152 x1
O 0.5842 0.0081 0.2174 x1
O 0.6373 0.1324 0.8477 x1
O 0.6487 0.3142 0.4800 x1
O 0.6918 0.4399 0.0893 x1
O 0.7429 0.6867 0.8068 x1
O 0.7505 0.4603 0.7397 x1
O 0.7563 0.1913 0.0177 x1
O 0.7878 0.7940 0.0192 x1
O 0.8234 0.9517 0.2960 x1
O 0.8641 0.0192 0.5221 x1
O 0.8726 0.5186 0.3169 x1
O 0.8893 0.2439 0.5641 x1
O 0.9268 0.2793 0.2443 x1
O 0.9600 0.6266 0.4917 x1
O 0.9883 0.4131 0.8169 x1

=====

# 4
The following is a GGA+U calculation of crystalline Mn5In3O12 at its relaxed geometry, from Materials Project.

Calculated values
- total energy (eV per cell) = -135.48
- V (Å³ per atom) = 11.17

a b c (Å): 5.2106 5.4041 7.9389
angles (deg): 89.68 88.19 89.49
Space group P1 (No. 1)
Unique sites:
Mn 0.0000 0.0000 0.0000 x1
Mn 0.0014 0.9988 0.5076 x1
Mn 0.0172 0.4462 0.7685 x1
Mn 0.4967 0.4984 0.0013 x1
Mn 0.4987 0.4998 0.5092 x1
In 0.4798 0.9412 0.7438 x1
In 0.5207 0.0593 0.2666 x1
In 0.9768 0.5575 0.2396 x1
O 0.1272 0.9341 0.2729 x1
O 0.1851 0.6902 0.9494 x1
O 0.1954 0.6997 0.5896 x1
O 0.3019 0.1903 0.9249 x1
O 0.3131 0.1903 0.5555 x1
O 0.3709 0.4360 0.2375 x1
O 0.6258 0.5640 0.7719 x1
O 0.6941 0.8012 0.4483 x1
O 0.7000 0.8035 0.0868 x1
O 0.8015 0.2990 0.4221 x1
O 0.8039 0.3005 0.0628 x1
O 0.8725 0.0672 0.7371 x1

=====

# 5
The following is a GGA+U calculation of crystalline BaGdFeCuO5 at its relaxed geometry, from Materials Project.

Calculated values
- total energy (eV per cell) = -64.40
- V (Å³ per atom) = 13.55

a b c (Å): 3.9064 3.9064 7.9900
angles (deg): 90.00 90.00 90.00
Space group P4mm (No. 99)
Unique sites:
Ba 0.0000 0.0000 0.0000 x1
Gd 0.0000 0.0000 0.4646 x1
Fe 0.5000 0.5000 0.7069 x1
Cu 0.5000 0.5000 0.2532 x1
O 0.0000 0.5000 0.2738 x2
O 0.0000 0.5000 0.6378 x2
O 0.5000 0.5000 0.9405 x1

=====

# 6
The following is a GGA+U calculation of crystalline LiFePO5 at its relaxed geometry, from Materials Project.

Calculated values
- total energy (eV per cell) = -208.90
- V (Å³ per atom) = 11.27
- excess energy over the best structure of this formula in the dataset (meV/atom) = 1.1

a b c (Å): 7.2656 7.9862 7.0498
angles (deg): 90.00 118.20 90.00
Space group P2_1/c (No. 14)
Unique sites:
Li 0.2478 0.0624 0.2794 x4
Fe 0.2501 0.7465 0.4999 x4
P 0.2496 0.1083 0.7485 x4
O 0.0649 0.2359 0.6522 x4
O 0.2367 0.5007 0.4230 x4
O 0.2505 0.6777 0.7513 x4
O 0.2604 0.0004 0.5715 x4
O 0.4350 0.2350 0.8478 x4

=====

# 7
The following is a GGA+U calculation of crystalline MgFeCoO4 at its relaxed geometry, from Materials Project.

Calculated values
- total energy (eV per cell) = -42.79
- V (Å³ per atom) = 10.80
- excess energy over the best structure of this formula in the dataset (meV/atom) = 121.7

a b c (Å): 4.9628 3.0582 5.2168
angles (deg): 90.00 107.28 90.00
Space group P2/m (No. 10)
Unique sites:
Mg 0.0000 0.0000 0.0000 x1
Fe 0.0000 0.5000 0.5000 x1
Co 0.5000 0.0000 0.5000 x1
O 0.2400 0.0000 0.7104 x2
O 0.2413 0.5000 0.2566 x2

=====

# 8
The following is a GGA+U calculation of crystalline CrBrO at its relaxed geometry, from Materials Project.

Calculated values
- total energy (eV per cell) = -36.94
- V (Å³ per atom) = 19.57

a b c (Å): 3.3527 3.9488 8.8693
angles (deg): 90.00 90.00 90.00
Space group Pmmn (No. 59, origin choice 2)
Unique sites:
Cr 0.2500 0.2500 0.0945 x2
Br 0.2500 0.7500 0.6943 x2
O 0.2500 0.7500 0.0457 x2

=====

no.,magnetic moment (μB/atom),total energy after the MP2020 corrections (eV/atom),ΔH_f (0 K) (eV per atom)
1,0.667,-6.036,-3.08
2,0.714,-8.059,-2.20
3,0.826,-8.053,-2.47
4,1.000,-7.603,-1.93
5,0.664,-7.788,-1.87
6,0.500,-7.239,-2.17
7,1.285,-7.062,-1.78
8,1.000,-7.053,-1.64